Entry 1:
Material: BaBi12Mo4WO34
Method: DFT, GGA+U
State: relaxed

Computed properties:
* ΔE_f: -1.92 eV/atom
* symmetry: P2/c, No. 13
* VASP energy: -6.389 eV/atom

abc: 5.925 11.970 25.572
angles: 77.14 90.00 90.00
Positions (direct):
Ba 0.500 0.500 0.500
Ba 0.500 0.500 0.000
Bi 0.474 0.639 0.321
Bi 0.526 0.263 0.841
Bi 0.028 0.079 0.907
Bi 0.966 0.245 0.102
Bi 0.526 0.737 0.659
Bi 0.071 0.844 0.245
Bi 0.028 0.921 0.593
Bi 0.034 0.755 0.898
Bi 0.570 0.042 0.175
Bi 0.430 0.042 0.675
Bi 0.966 0.755 0.398
Bi 0.526 0.361 0.679
Bi 0.474 0.361 0.179
Bi 0.474 0.737 0.159
Bi 0.972 0.079 0.407
Bi 0.430 0.958 0.825
Bi 0.972 0.921 0.093
Bi 0.474 0.263 0.341
Bi 0.929 0.156 0.755
Bi 0.071 0.156 0.255
Bi 0.034 0.245 0.602
Bi 0.929 0.844 0.745
Bi 0.570 0.958 0.325
Bi 0.526 0.639 0.821
Mo 0.524 0.845 0.986
Mo 0.992 0.423 0.420
Mo 0.992 0.577 0.080
Mo 0.008 0.423 0.920
Mo 0.476 0.155 0.014
Mo 0.476 0.845 0.486
Mo 0.008 0.577 0.580
Mo 0.524 0.155 0.514
W 0.022 0.500 0.750
W 0.978 0.500 0.250
O 0.746 0.498 0.585
O 0.746 0.502 0.915
O 0.413 0.270 0.542
O 0.216 0.764 0.334
O 0.756 0.000 0.250
O 0.623 0.265 0.758
O 0.724 0.134 0.341
O 0.790 0.114 0.547
O 0.765 0.123 0.845
O 0.911 0.935 0.367
O 0.377 0.265 0.258
O 0.235 0.123 0.345
O 0.545 0.205 0.442
O 0.158 0.507 0.192
O 0.322 0.959 0.969
O 0.842 0.493 0.808
O 0.377 0.735 0.242
O 0.254 0.498 0.085
O 0.158 0.493 0.308
O 0.911 0.065 0.133
O 0.254 0.502 0.415
O 0.413 0.730 0.958
O 0.678 0.959 0.469
O 0.077 0.379 0.990
O 0.842 0.507 0.692
O 0.765 0.877 0.655
O 0.587 0.270 0.042
O 0.233 0.477 0.606
O 0.545 0.795 0.058
O 0.923 0.379 0.490
O 0.286 0.228 0.668
O 0.089 0.065 0.633
O 0.790 0.886 0.953
O 0.077 0.621 0.510
O 0.268 0.000 0.250
O 0.010 0.703 0.108
O 0.233 0.523 0.894
O 0.203 0.374 0.759
O 0.923 0.621 0.010
O 0.678 0.041 0.031
O 0.714 0.772 0.332
O 0.767 0.523 0.394
O 0.244 0.000 0.750
O 0.089 0.935 0.867
O 0.210 0.114 0.047
O 0.732 0.000 0.750
O 0.784 0.764 0.834
O 0.724 0.866 0.159
O 0.010 0.297 0.392
O 0.276 0.866 0.659
O 0.455 0.205 0.942
O 0.276 0.134 0.841
O 0.286 0.772 0.832
O 0.216 0.236 0.166
O 0.587 0.730 0.458
O 0.797 0.626 0.241
O 0.455 0.795 0.558
O 0.322 0.041 0.531
O 0.990 0.703 0.608
O 0.784 0.236 0.666
O 0.623 0.735 0.742
O 0.210 0.886 0.453
O 0.203 0.626 0.741
O 0.235 0.877 0.155
O 0.797 0.374 0.259
O 0.990 0.297 0.892
O 0.767 0.477 0.106
O 0.714 0.228 0.168

---

Entry 2:
Material: Fe3Te3ClO10
Method: DFT, GGA+U
State: relaxed

Computed properties:
* ΔE_f: -1.52 eV/atom
* symmetry: P2_1/c, No. 14
* VASP energy: -5.788 eV/atom

abc: 16.443 5.005 13.098
angles: 70.14 90.00 90.00
Positions (direct):
Fe 0.763 0.792 0.220
Fe 0.263 0.208 0.280
Fe 0.237 0.208 0.780
Fe 0.737 0.792 0.720
Fe 0.948 0.645 0.397
Fe 0.448 0.355 0.103
Fe 0.052 0.355 0.603
Fe 0.552 0.645 0.897
Fe 0.064 0.139 0.406
Fe 0.564 0.861 0.094
Fe 0.936 0.861 0.594
Fe 0.436 0.139 0.906
Te 0.753 0.564 0.498
Te 0.253 0.436 0.002
Te 0.247 0.436 0.502
Te 0.747 0.564 0.998
Te 0.915 0.370 0.198
Te 0.415 0.630 0.302
Te 0.085 0.630 0.802
Te 0.585 0.370 0.698
Te 0.120 0.832 0.215
Te 0.620 0.168 0.285
Te 0.880 0.168 0.785
Te 0.380 0.832 0.715
Cl 0.913 0.426 0.947
Cl 0.413 0.574 0.553
Cl 0.087 0.574 0.053
Cl 0.587 0.426 0.447
O 0.700 0.764 0.577
O 0.200 0.236 0.923
O 0.300 0.236 0.423
O 0.800 0.764 0.077
O 0.863 0.732 0.495
O 0.363 0.268 0.005
O 0.137 0.268 0.505
O 0.637 0.732 0.995
O 0.733 0.848 0.359
O 0.233 0.152 0.141
O 0.267 0.152 0.641
O 0.767 0.848 0.859
O 0.866 0.537 0.300
O 0.366 0.463 0.200
O 0.134 0.463 0.700
O 0.634 0.537 0.800
O 0.831 0.142 0.181
O 0.331 0.858 0.319
O 0.169 0.858 0.819
O 0.669 0.142 0.681
O 0.974 0.057 0.305
O 0.474 0.943 0.195
O 0.026 0.943 0.695
O 0.526 0.057 0.805
O 0.974 0.249 0.498
O 0.474 0.751 0.002
O 0.026 0.751 0.502
O 0.526 0.249 0.998
O 0.040 0.549 0.308
O 0.540 0.451 0.192
O 0.960 0.451 0.692
O 0.460 0.549 0.808
O 0.202 0.562 0.255
O 0.702 0.438 0.245
O 0.798 0.438 0.745
O 0.298 0.562 0.755
O 0.152 0.987 0.332
O 0.652 0.013 0.168
O 0.848 0.013 0.668
O 0.348 0.987 0.832

---

Entry 3:
Material: Co5SbO12
Method: DFT, GGA+U
State: relaxed

Computed properties:
* ΔE_f: -1.20 eV/atom
* symmetry: C2/m, No. 12
* VASP energy: -5.791 eV/atom

abc: 5.009 5.010 9.619
angles: 90.03 90.07 60.00
Positions (direct):
Co 0.167 0.667 0.500
Co 0.667 0.667 0.000
Co 0.333 0.333 0.000
Co 0.833 0.333 0.500
Co 0.500 0.000 0.500
Sb 0.000 0.000 0.000
O 0.000 0.650 0.102
O 0.350 0.650 0.898
O 0.167 0.333 0.405
O 0.499 0.667 0.405
O 0.501 0.333 0.595
O 0.166 0.000 0.595
O 0.833 0.667 0.595
O 0.650 0.350 0.102
O 0.350 0.000 0.102
O 0.000 0.350 0.898
O 0.650 0.000 0.898
O 0.834 0.000 0.405

---

Entry 4:
Material: Li3Al2VO6
Method: DFT, GGA+U
State: relaxed

Computed properties:
* ΔE to the lowest computed polymorph: 0.000 eV/atom
* ΔE_f: -2.86 eV/atom
* VASP energy: -6.706 eV/atom

abc: 5.022 5.116 17.326
angles: 89.99 90.02 70.56
Positions (direct):
Li 0.000 0.500 0.250
Li 0.500 0.500 0.500
Li 0.000 0.500 0.750
Li 0.500 0.500 0.000
Li 0.000 0.500 0.085
Li 0.500 0.500 0.335
Li 0.000 0.500 0.585
Li 0.500 0.500 0.834
Li 0.000 0.500 0.415
Li 0.500 0.500 0.666
Li 0.000 0.500 0.915
Li 0.500 0.500 0.165
Al 0.000 0.000 0.167
Al 0.500 0.000 0.417
Al 0.000 0.000 0.667
Al 0.500 0.000 0.917
Al 0.000 0.000 0.333
Al 0.500 0.000 0.583
Al 0.000 0.000 0.833
Al 0.500 0.000 0.083
V 0.000 0.000 0.500
V 0.500 0.000 0.750
V 0.000 0.000 0.000
V 0.500 0.000 0.250
O 0.224 0.780 0.250
O 0.724 0.779 0.500
O 0.224 0.779 0.750
O 0.724 0.780 0.000
O 0.776 0.220 0.250
O 0.276 0.221 0.500
O 0.776 0.221 0.750
O 0.276 0.220 0.000
O 0.252 0.217 0.337
O 0.752 0.217 0.587
O 0.252 0.217 0.837
O 0.751 0.217 0.087
O 0.252 0.217 0.163
O 0.752 0.217 0.413
O 0.252 0.217 0.663
O 0.752 0.217 0.913
O 0.748 0.783 0.337
O 0.248 0.783 0.587
O 0.748 0.783 0.837
O 0.248 0.783 0.087
O 0.748 0.783 0.163
O 0.248 0.783 0.413
O 0.748 0.783 0.663
O 0.248 0.783 0.913

---

Entry 5:
Material: FeOF
Method: DFT, GGA+U
State: relaxed

Computed properties:
* ΔE_f: -2.04 eV/atom
* symmetry: Pm, No. 6
* VASP energy: -6.014 eV/atom

abc: 3.106 14.161 14.209
angles: 89.77 90.00 90.00
Positions (direct):
Fe 0.000 0.986 0.999
Fe 0.000 0.994 0.338
Fe 0.000 0.993 0.659
Fe 0.500 0.829 0.148
Fe 0.500 0.844 0.500
Fe 0.500 0.850 0.827
Fe 0.000 0.665 0.998
Fe 0.000 0.655 0.330
Fe 0.000 0.653 0.666
Fe 0.500 0.513 0.498
Fe 0.500 0.497 0.180
Fe 0.500 0.515 0.835
Fe 0.000 0.322 0.997
Fe 0.000 0.329 0.323
Fe 0.000 0.324 0.666
Fe 0.500 0.180 0.164
Fe 0.500 0.166 0.519
Fe 0.500 0.179 0.832
O 0.500 0.933 0.600
O 0.500 0.935 0.937
O 0.000 0.902 0.107
O 0.000 0.900 0.431
O 0.000 0.902 0.765
O 0.500 0.728 0.064
O 0.500 0.607 0.264
O 0.500 0.603 0.601
O 0.500 0.600 0.938
O 0.000 0.565 0.433
O 0.000 0.564 0.769
O 0.000 0.433 0.234
O 0.500 0.262 0.273
O 0.500 0.274 0.600
O 0.500 0.268 0.936
O 0.000 0.233 0.103
O 0.000 0.232 0.768
O 0.000 0.099 0.566
F 0.500 0.936 0.269
F 0.000 0.773 0.238
F 0.000 0.767 0.564
F 0.000 0.770 0.893
F 0.500 0.733 0.731
F 0.500 0.734 0.401
F 0.000 0.560 0.102
F 0.000 0.435 0.567
F 0.000 0.432 0.900
F 0.500 0.402 0.063
F 0.500 0.395 0.403
F 0.500 0.400 0.734
F 0.000 0.230 0.436
F 0.000 0.095 0.234
F 0.000 0.101 0.901
F 0.500 0.068 0.068
F 0.500 0.069 0.394
F 0.500 0.066 0.735

---

Entry 6:
Material: LiCoBO3
Method: DFT, GGA+U
State: relaxed

Computed properties:
* ΔE to the lowest computed polymorph: 0.068 eV/atom
* ΔE_f: -2.19 eV/atom
* symmetry: Pc, No. 7
* VASP energy: -6.664 eV/atom

abc: 3.119 9.103 9.445
angles: 90.00 90.00 89.67
Positions (direct):
Li 0.258 0.133 0.701
Li 0.245 0.367 0.202
Li 0.758 0.633 0.799
Li 0.745 0.867 0.298
Co 0.743 0.206 0.940
Co 0.243 0.706 0.560
Co 0.751 0.294 0.440
Co 0.251 0.794 0.060
B 0.244 0.104 0.210
B 0.257 0.396 0.710
B 0.744 0.604 0.290
B 0.757 0.896 0.790
O 0.762 0.047 0.786
O 0.744 0.453 0.286
O 0.262 0.547 0.714
O 0.243 0.953 0.214
O 0.248 0.186 0.334
O 0.255 0.314 0.834
O 0.748 0.686 0.166
O 0.754 0.814 0.666
O 0.242 0.183 0.082
O 0.252 0.317 0.582
O 0.742 0.683 0.418
O 0.752 0.817 0.918

---

Entry 7:
Material: Li9Mn7O16
Method: DFT, GGA+U
State: relaxed

Computed properties:
* ΔE to the lowest computed polymorph: 0.002 eV/atom
* ΔE_f: -2.14 eV/atom
* symmetry: P-1, No. 2
* VASP energy: -6.449 eV/atom

abc: 5.089 6.963 8.730
angles: 100.04 93.64 101.06
Positions (direct):
Li 0.258 0.316 0.693
Li 0.250 0.562 0.433
Li 0.732 0.210 0.814
Li 0.750 0.438 0.567
Li 0.260 0.056 0.938
Li 0.268 0.790 0.186
Li 0.742 0.684 0.307
Li 0.740 0.944 0.062
Li 0.500 0.500 0.000
Mn 0.000 0.613 0.878
Mn 0.000 0.387 0.122
Mn 0.004 0.872 0.628
Mn 0.996 0.128 0.372
Mn 0.504 0.736 0.756
Mn 0.500 0.000 0.500
Mn 0.496 0.264 0.244
O 0.139 0.593 0.673
O 0.138 0.851 0.420
O 0.652 0.474 0.789
O 0.641 0.724 0.550
O 0.104 0.368 0.913
O 0.117 0.133 0.158
O 0.638 0.970 0.293
O 0.639 0.223 0.045
O 0.362 0.030 0.707
O 0.359 0.276 0.450
O 0.883 0.867 0.842
O 0.862 0.149 0.580
O 0.361 0.777 0.955
O 0.348 0.526 0.211
O 0.861 0.407 0.327
O 0.896 0.632 0.087

---

| no. | ρ (kg/m³) |
| --- | --- |
| 1 | 7056 |
| 2 | 4887 |
| 3 | 4833 |
| 4 | 3508 |
| 5 | 4345 |
| 6 | 3089 |
| 7 | 3925 |